Record 1
# Na2Ca4ZrNbSi4O17F

A geometry-optimized Na2Ca4ZrNbSi4O17F structure (GGA-PBE, Materials Project).

a = 7.378 Å, b = 10.401 Å, c = 10.964 Å
α = 90.00°, β = 108.92°, γ = 90.00°
Space group P2_1 (No. 4)
Unique sites:
Na 0.053 0.000 0.368
Na 0.188 0.151 0.122
Ca 0.052 0.380 0.347
Ca 0.200 0.766 0.155
Ca 0.299 0.265 0.855
Ca 0.444 0.494 0.633
Zr 0.447 0.874 0.658
Nb 0.304 0.636 0.866
Si 0.064 0.695 0.439
Si 0.135 0.448 0.073
Si 0.303 0.957 0.920
Si 0.375 0.196 0.567
O 0.018 0.723 0.286
O 0.064 0.703 0.778
O 0.078 0.982 0.915
O 0.113 0.324 0.981
O 0.138 0.206 0.523
O 0.150 0.553 0.488
O 0.182 0.818 0.526
O 0.202 0.581 0.020
O 0.271 0.418 0.222
O 0.275 0.476 0.786
O 0.291 0.957 0.768
O 0.379 0.819 0.991
O 0.410 0.301 0.464
O 0.417 0.084 0.994
O 0.428 0.049 0.541
O 0.456 0.700 0.756
O 0.476 0.254 0.710
F 0.247 0.971 0.241

Output
* formation energy from the elements: -3.36 eV per atom
* energy relative to the lowest polymorph listed for this composition: 0 meV per atom

***

Record 2
# Na2Ca4ZrNbSi4O16F2

A geometry-optimized Na2Ca4ZrNbSi4O16F2 structure (GGA-PBE, Materials Project).

a = 7.440 Å, b = 10.371 Å, c = 11.015 Å
α = 90.00°, β = 109.16°, γ = 90.00°
Space group P2_1 (No. 4)
Unique sites:
Na 0.052 0.000 0.368
Na 0.188 0.155 0.118
Ca 0.054 0.387 0.349
Ca 0.199 0.771 0.158
Ca 0.295 0.272 0.850
Ca 0.446 0.504 0.631
Zr 0.449 0.872 0.660
Nb 0.327 0.633 0.881
Si 0.062 0.700 0.439
Si 0.135 0.452 0.073
Si 0.297 0.957 0.916
Si 0.375 0.200 0.566
O 0.016 0.728 0.288
O 0.076 0.980 0.911
O 0.115 0.330 0.979
O 0.139 0.211 0.523
O 0.149 0.557 0.487
O 0.181 0.822 0.526
O 0.191 0.589 0.021
O 0.271 0.424 0.222
O 0.271 0.485 0.781
O 0.287 0.958 0.765
O 0.377 0.822 0.991
O 0.406 0.087 0.989
O 0.407 0.303 0.462
O 0.427 0.052 0.542
O 0.465 0.703 0.756
O 0.476 0.260 0.708
F 0.045 0.707 0.775
F 0.245 0.977 0.240

Output
* formation energy from the elements: -3.35 eV per atom

***

Record 3
# Na2Ca4ZrNbSi4O17F

A geometry-optimized Na2Ca4ZrNbSi4O17F structure (GGA-PBE, Materials Project).

a = 7.432 Å, b = 10.462 Å, c = 11.014 Å
α = 90.00°, β = 109.19°, γ = 90.00°
Space group P2_1 (No. 4)
Unique sites:
Na 0.073 0.000 0.374
Na 0.181 0.147 0.138
Ca 0.042 0.347 0.341
Ca 0.195 0.763 0.151
Ca 0.301 0.642 0.867
Ca 0.452 0.878 0.650
Zr 0.308 0.259 0.850
Nb 0.411 0.511 0.617
Si 0.047 0.695 0.429
Si 0.130 0.444 0.066
Si 0.303 0.944 0.931
Si 0.381 0.190 0.577
O 0.018 0.668 0.750
O 0.021 0.205 0.729
O 0.108 0.926 0.972
O 0.148 0.821 0.504
O 0.149 0.168 0.535
O 0.159 0.338 0.960
O 0.170 0.561 0.482
O 0.170 0.588 0.029
O 0.237 0.400 0.213
O 0.271 0.905 0.784
O 0.298 0.427 0.730
O 0.374 0.092 0.966
O 0.407 0.329 0.515
O 0.438 0.834 0.027
O 0.454 0.066 0.516
O 0.472 0.189 0.734
O 0.475 0.659 0.712
F 0.311 0.942 0.273

Output
* formation energy from the elements: -3.29 eV per atom
* energy relative to the lowest polymorph listed for this composition: 73 meV per atom

***

Record 4
# Na2CaPO4F

A geometry-optimized Na2CaPO4F structure (GGA-PBE, Materials Project).

a = 13.452 Å, b = 7.169 Å, c = 10.780 Å
α = 90.00°, β = 113.57°, γ = 90.00°
Space group P2_1/c (No. 14)
Unique sites:
Na 0.088 0.227 0.176
Na 0.169 0.019 0.932
Na 0.336 0.023 0.790
Na 0.410 0.246 0.087
Ca 0.169 0.012 0.471
Ca 0.327 0.006 0.277
P 0.087 0.741 0.145
P 0.416 0.744 0.061
O 0.031 0.232 0.364
O 0.086 0.725 0.502
O 0.145 0.550 0.194
O 0.150 0.600 0.745
O 0.352 0.567 0.072
O 0.360 0.578 0.584
O 0.415 0.749 0.915
O 0.465 0.232 0.333
F 0.236 0.230 0.116
F 0.259 0.226 0.378

Output
* formation energy from the elements: -3.03 eV per atom
* energy relative to the lowest polymorph listed for this composition: 0 meV per atom

***

Record 5
# Na2CaPO4F

A geometry-optimized Na2CaPO4F structure (GGA-PBE, Materials Project).

a = 12.425 Å, b = 7.075 Å, c = 14.295 Å
α = 90.00°, β = 107.66°, γ = 90.00°
Space group Cm (No. 8)
Unique sites:
Na 0.000 0.233 0.000
Na 0.145 0.253 0.408
Na 0.231 0.244 0.201
Na 0.280 0.251 0.802
Na 0.367 0.252 0.605
Ca 0.011 0.000 0.804
Ca 0.136 0.500 0.604
Ca 0.268 0.500 0.001
Ca 0.371 0.500 0.404
Ca 0.494 0.000 0.199
P 0.024 0.500 0.793
P 0.113 0.000 0.596
P 0.251 0.000 0.997
P 0.390 0.000 0.393
P 0.485 0.500 0.208
O 0.013 0.000 0.640
O 0.021 0.500 0.438
O 0.056 0.182 0.243
O 0.067 0.000 0.481
O 0.145 0.000 0.033
O 0.156 0.500 0.836
O 0.187 0.180 0.630
O 0.213 0.000 0.882
O 0.325 0.178 0.040
O 0.340 0.180 0.427
O 0.359 0.000 0.278
O 0.378 0.500 0.243
O 0.450 0.500 0.095
O 0.476 0.180 0.829
O 0.491 0.000 0.678
F 0.113 0.500 0.077
F 0.183 0.500 0.297
F 0.258 0.500 0.507
F 0.322 0.500 0.707
F 0.389 0.500 0.903

Output
* formation energy from the elements: -3.00 eV per atom
* energy relative to the lowest polymorph listed for this composition: 27 meV per atom

***

Record 6
# Na2Ca2P2O7F2

A geometry-optimized Na2Ca2P2O7F2 structure (GGA-PBE, Materials Project).

a = 7.535 Å, b = 10.561 Å, c = 11.102 Å
α = 90.34°, β = 109.63°, γ = 90.08°
Space group P1 (No. 1)
Unique sites:
Na 0.000 0.000 0.000
Na 0.022 0.256 0.519
Na 0.203 0.774 0.863
Na 0.311 0.964 0.622
Na 0.386 0.469 0.742
Na 0.523 0.995 0.007
Na 0.818 0.280 0.109
Na 0.871 0.778 0.232
Ca 0.177 0.493 0.347
Ca 0.320 0.257 0.132
Ca 0.366 0.810 0.245
Ca 0.503 0.240 0.508
Ca 0.681 0.754 0.861
Ca 0.699 0.485 0.345
Ca 0.829 0.968 0.623
Ca 0.869 0.458 0.741
P 0.045 0.690 0.563
P 0.074 0.061 0.308
P 0.082 0.558 0.052
P 0.195 0.196 0.807
P 0.494 0.561 0.067
P 0.527 0.698 0.551
P 0.619 0.190 0.798
P 0.747 0.059 0.308
O 0.001 0.622 0.433
O 0.034 0.834 0.556
O 0.085 0.146 0.197
O 0.086 0.106 0.699
O 0.092 0.419 0.095
O 0.096 0.645 0.166
O 0.125 0.923 0.287
O 0.136 0.335 0.775
O 0.192 0.637 0.681
O 0.203 0.114 0.439
O 0.204 0.156 0.941
O 0.267 0.589 0.012
O 0.367 0.669 0.426
O 0.413 0.186 0.814
O 0.526 0.421 0.107
O 0.552 0.597 0.954
O 0.555 0.838 0.582
O 0.560 0.615 0.668
O 0.573 0.644 0.189
O 0.605 0.102 0.682
O 0.626 0.144 0.196
O 0.641 0.327 0.757
O 0.671 0.922 0.291
O 0.692 0.651 0.493
O 0.747 0.113 0.440
O 0.754 0.149 0.925
O 0.867 0.640 0.608
O 0.926 0.586 0.926
F 0.283 0.886 0.053
F 0.288 0.378 0.531
F 0.426 0.368 0.328
F 0.431 0.879 0.821
F 0.763 0.377 0.536
F 0.779 0.868 0.037
F 0.911 0.867 0.811
F 0.921 0.372 0.314

Output
* formation energy from the elements: -2.95 eV per atom

***

Record 7
# Na2Ca5TiSi4O16F2

A geometry-optimized Na2Ca5TiSi4O16F2 structure (GGA-PBE, Materials Project).

a = 5.776 Å, b = 7.453 Å, c = 9.803 Å
α = 101.19°, β = 101.78°, γ = 90.08°
Space group P1 (No. 1)
Unique sites:
Na 0.000 0.000 0.000
Na 0.498 0.758 0.996
Ca 0.214 0.411 0.633
Ca 0.219 0.910 0.638
Ca 0.501 0.261 0.006
Ca 0.784 0.592 0.364
Ca 0.785 0.093 0.363
Ti 0.982 0.512 0.014
Si 0.249 0.285 0.279
Si 0.257 0.854 0.286
Si 0.753 0.149 0.715
Si 0.753 0.718 0.724
O 0.067 0.356 0.383
O 0.069 0.837 0.388
O 0.174 0.334 0.120
O 0.190 0.715 0.129
O 0.216 0.057 0.242
O 0.237 0.449 0.884
O 0.474 0.170 0.649
O 0.474 0.662 0.665
O 0.527 0.341 0.340
O 0.533 0.840 0.360
O 0.749 0.522 0.111
O 0.785 0.945 0.760
O 0.826 0.288 0.873
O 0.836 0.671 0.885
O 0.930 0.647 0.617
O 0.935 0.163 0.611
F 0.304 0.992 0.883
F 0.694 0.044 0.118

Output
* formation energy from the elements: -3.24 eV per atom
* energy relative to the lowest polymorph listed for this composition: 0 meV per atom